#one
Here is a relaxed LiVOF4 crystal from the Materials Project. Energies are from PBE with a Hubbard U.

symmetry: Cmc2_1

Lattice parameters (Å, degrees): 5.4188 5.4188 10.2456 90.00 90.00 140.96
Last column: nearest neighbours and their distance in Å.
Atoms (fractional coordinates):
Li: 0.1165 0.8835 0.5000  4 F 1.90-2.00
Li: 0.8835 0.1165 0.0000  4 F 1.90-2.00
V: 0.1902 0.8098 0.8093  4 F 1.80-1.94, 2 O 1.82
V: 0.8098 0.1902 0.3093  4 F 1.80-1.94, 2 O 1.82
O: 0.3009 0.6991 0.3223  2 V 1.82
O: 0.6991 0.3009 0.8223  2 V 1.82
F: 0.0555 0.9445 0.9295  1 V 1.85, 1 Li 1.90
F: 0.0643 0.9357 0.6823  1 V 1.83, 1 Li 1.94
F: 0.3076 0.6924 0.6783  1 V 1.80
F: 0.3226 0.6774 0.9447  1 V 1.94, 2 Li 2.00
F: 0.6774 0.3226 0.4447  1 V 1.94, 2 Li 2.00
F: 0.6924 0.3076 0.1783  1 V 1.80
F: 0.9357 0.0643 0.1823  1 V 1.83, 1 Li 1.94
F: 0.9445 0.0555 0.4295  1 V 1.85, 1 Li 1.90



#two
Here is a relaxed LiVOF4 crystal from the Materials Project. Energies are from PBE with a Hubbard U.

symmetry: P1

Lattice parameters (Å, degrees): 5.0381 7.8229 10.2036 111.91 90.59 91.81
Last column: nearest neighbours and their distance in Å.
Atoms (fractional coordinates):
Li: 0.0000 0.0000 0.0000  3 F 1.96-2.11
Li: 0.0426 0.5056 0.9476  3 F 1.90-2.01
Li: 0.4482 0.5242 0.4360  4 F 1.92-2.00
Li: 0.5324 0.0015 0.4987  3 F 1.97-2.04
V: 0.0349 0.9156 0.6376  1 O 1.62, 1 F 1.81
V: 0.5185 0.3348 0.1267  1 O 1.63, 1 F 1.83
V: 0.5466 0.8203 0.1319  1 O 1.64, 2 F 1.80-1.83
V: 0.9772 0.4132 0.6323  1 O 1.62
O: 0.1766 0.1038 0.6354  1 V 1.62
O: 0.6595 0.6227 0.1237  1 V 1.64
O: 0.7715 0.2490 0.0276  1 V 1.63
O: 0.8532 0.5945 0.6180  1 V 1.62
F: 0.1421 0.9120 0.8091  1 V 1.84, 1 Li 1.96
F: 0.2125 0.7586 0.0448  1 V 1.86, 1 Li 2.01
F: 0.2275 0.3524 0.4941  1 V 1.84, 1 Li 1.98
F: 0.2479 0.5063 0.7615  1 V 1.82
F: 0.2894 0.5040 0.2584  1 V 1.92, 1 Li 1.92
F: 0.2958 0.3571 0.9904  1 V 1.84, 1 Li 1.90
F: 0.3034 0.7593 0.5478  1 V 1.86, 1 Li 1.94
F: 0.3411 0.1265 0.1249  1 V 1.83
F: 0.3845 0.9109 0.3022  1 V 1.83, 1 Li 1.99
F: 0.6662 0.8332 0.9661  1 V 1.84, 1 Li 2.04
F: 0.7126 0.3920 0.2921  1 V 1.84, 1 Li 2.00
F: 0.7184 0.9927 0.7148  1 V 1.81
F: 0.7499 0.2256 0.5219  1 V 1.84, 1 Li 1.97
F: 0.8043 0.3962 0.7867  1 V 1.85, 1 Li 1.93
F: 0.8134 0.9878 0.2106  1 V 1.80
F: 0.8433 0.8306 0.4685  1 V 1.85, 1 Li 2.04



Tell me which of them is the least stable. Sure, it is #one.



#one
Here is a relaxed Li3V4O3F9 crystal from the Materials Project. Energies are from PBE with a Hubbard U.

symmetry: P1

Lattice parameters (Å, degrees): 5.1897 5.5421 17.2837 88.98 82.54 62.51
Last column: nearest neighbours and their distance in Å.
Atoms (fractional coordinates):
Li: 0.0000 0.0000 0.0000  2 O 1.92-1.93, 1 F 1.94
Li: 0.0513 0.4065 0.4912  1 O 1.96, 2 F 1.98-1.99
Li: 0.1681 0.4966 0.1420  1 O 1.96, 2 F 2.02-2.03
Li: 0.2994 0.7729 0.6244  3 F 1.97-2.17, 1 O 1.99
Li: 0.6916 0.2228 0.3928  2 F 1.96-1.99, 1 O 1.96
Li: 0.7974 0.4989 0.8688  4 F 1.95-2.11
V: 0.1120 0.9460 0.8129  2 O 1.89-2.00, 4 F 2.03-2.11
V: 0.1225 0.4302 0.3091  1 O 1.85, 3 F 2.00-2.06
V: 0.3432 0.3071 0.9382  1 O 1.85, 3 F 2.03-2.05
V: 0.4003 0.8100 0.4462  2 O 1.88-1.93, 2 F 2.03-2.10
V: 0.5783 0.7159 0.0708  1 O 1.85, 3 F 1.99-2.07
V: 0.6126 0.2081 0.5604  2 O 1.91, 4 F 2.06-2.12
V: 0.8680 0.5991 0.6939  1 O 1.84, 3 F 2.00-2.05
V: 0.8979 0.0758 0.1906  2 O 1.86-1.97, 2 F 2.04-2.08
O: 0.0516 0.7906 0.7247  2 V 1.84-1.89, 1 Li 1.99
O: 0.0659 0.2859 0.2209  2 V 1.85-1.86, 1 Li 1.96
O: 0.1529 0.1204 0.9078  2 V 1.85-2.00, 1 Li 1.93
O: 0.1735 0.9060 0.0945  2 V 1.85-1.97, 1 Li 1.92
O: 0.5358 0.0534 0.4739  2 V 1.88-1.91, 1 Li 1.96
O: 0.6391 0.4891 0.4993  2 V 1.91-1.93, 1 Li 1.96
F: 0.0345 0.4784 0.0379  1 Li 2.03, 2 V 2.09-2.11
F: 0.0677 0.9739 0.5420  1 Li 1.97, 2 V 2.09-2.10
F: 0.0835 0.6447 0.8848  2 V 2.03-2.11, 1 Li 2.04
F: 0.0913 0.2734 0.7537  2 V 2.00-2.03
F: 0.1070 0.1327 0.3830  1 Li 1.96, 2 V 2.09-2.13
F: 0.1383 0.7371 0.2481  2 V 2.01-2.04, 1 Li 2.23
F: 0.1644 0.4546 0.5925  1 Li 1.98, 2 V 2.07-2.08
F: 0.1959 0.5863 0.4088  1 Li 1.99, 2 V 2.10-2.12
F: 0.5361 0.5431 0.9697  1 Li 2.01, 2 V 2.09
F: 0.5554 0.7256 0.7930  1 Li 1.95, 2 V 2.03-2.08
F: 0.5731 0.2165 0.2880  1 Li 1.99, 2 V 2.06-2.09
F: 0.5907 0.9042 0.6328  1 Li 1.98, 2 V 2.03-2.12
F: 0.6021 0.3844 0.1253  2 V 2.01-2.12, 1 Li 2.02
F: 0.6192 0.0119 0.0033  1 Li 1.94, 2 V 2.05-2.07
F: 0.6570 0.3984 0.6556  2 V 2.05-2.06, 1 Li 2.17
F: 0.6758 0.1929 0.8482  2 V 2.03-2.04, 1 Li 2.11
F: 0.6958 0.6470 0.3484  2 V 2.00-2.03
F: 0.7086 0.8408 0.1586  2 V 1.99-2.08



#two
Here is a relaxed Li3V4O3F9 crystal from the Materials Project. Energies are from PBE with a Hubbard U.

symmetry: P1

Lattice parameters (Å, degrees): 5.9562 5.9736 6.0868 99.10 99.69 99.65
Last column: nearest neighbours and their distance in Å.
Atoms (fractional coordinates):
Li: 0.0000 0.0000 0.0000  4 F 1.97-2.20, 1 O 2.11
Li: 0.1519 0.3214 0.6162  5 F 1.98-2.04
Li: 0.4266 0.9222 0.7230  4 F 1.96-2.10, 1 O 2.16
V: 0.2763 0.6561 0.2197  3 F 2.01-2.11, 3 O 2.03-2.04
V: 0.5326 0.1833 0.2838  2 O 1.94-2.08, 4 F 1.96-2.14
V: 0.7432 0.4785 0.9449  4 F 1.99-2.11, 2 O 1.99-2.04
V: 0.8071 0.7343 0.4510  3 O 1.94-2.17, 2 F 1.99-2.09
O: 0.5491 0.5003 0.1810  4 V 1.99-2.17
O: 0.5485 0.9054 0.4074  3 V 1.94-2.04, 1 Li 2.16
O: 0.9554 0.7362 0.1902  3 V 1.94-2.04, 1 Li 2.11
F: 0.0227 0.0058 0.6571  2 Li 1.98-2.12, 1 V 1.99
F: 0.0796 0.4423 0.9221  1 Li 2.03, 2 V 2.08
F: 0.2192 0.2370 0.3013  1 V 1.96, 2 Li 2.03-2.20
F: 0.2227 0.6412 0.5356  2 Li 1.96-2.04, 1 V 2.01
F: 0.3225 0.9127 0.0205  2 Li 2.02-2.06, 2 V 2.11-2.14
F: 0.4732 0.2661 0.7325  1 V 1.99, 2 Li 2.02-2.03
F: 0.6951 0.7393 0.7816  2 V 2.01-2.22, 1 Li 2.10
F: 0.7603 0.1739 0.0752  1 Li 1.97, 2 V 2.01-2.11
F: 0.8008 0.4038 0.5234  2 V 2.08-2.09, 1 Li 2.23



Tell me which of them is the least stable. Sure, it is #one.